Entry from Materials Project: a relaxed structure of YTi2Ga4 (PBE).

a = 5.5142 Å, b = 5.5142 Å, c = 5.5142 Å
α = 104.33°, β = 104.33°, γ = 120.33°
With the nearest neighbours (Å) after each atom.
Fractional positions:
Ga 0.6969 0.3031 0.0000  4 Ga 2.66-2.93, 4 Ti 2.80, 1 Y 2.90
Ga 0.3031 0.6969 0.0000  4 Ga 2.66-2.93, 4 Ti 2.80, 1 Y 2.90
Ga 0.3031 0.3031 0.6062  4 Ga 2.66-2.93, 4 Ti 2.80, 1 Y 2.90
Ga 0.6969 0.6969 0.3938  4 Ga 2.66-2.93, 4 Ti 2.80, 1 Y 2.90
Y 0.0000 0.0000 0.0000  4 Ga 2.90
Ti 0.2500 0.7500 0.5000  2 Ti 2.74, 8 Ga 2.80
Ti 0.7500 0.2500 0.5000  2 Ti 2.74, 8 Ga 2.80

Output
**Crystal system**: tetragonal
**Raw total energy**: -5.4515 eV/atom
**Energy of formation from the pure elements**: -366 kJ/mol of formula units
**V**: 17.9 Å³/atom